[1]
Here is a geometry-optimized InSn3 structure from the Materials Project. Energies are from PBE.

a = 3.367 Å, b = 3.367 Å, c = 11.225 Å
α = 90.00°, β = 90.00°, γ = 120.00°
Fractional positions:
In: 0.000 0.000 0.000
Sn: 0.000 0.000 0.500
Sn: 0.667 0.333 0.250
Sn: 0.667 0.333 0.750

## Properties
DFT formation energy: 0.0513 eV/atom
density: 7.096 g/cm³
SG: No. 187

---

[2]
Here is a geometry-optimized InSn4 structure from the Materials Project. Energies are from PBE.

a = 14.575 Å, b = 14.575 Å, c = 3.054 Å
α = 90.00°, β = 90.00°, γ = 167.45°
Fractional positions:
In: 0.000 0.000 0.000
Sn: 0.200 0.800 0.000
Sn: 0.400 0.600 0.000
Sn: 0.600 0.400 0.000
Sn: 0.800 0.200 0.000

## Properties
total magnetization: 0.01 μB per cell
DFT formation energy: 0.1478 eV/atom
density: 6.944 g/cm³
SG: No. 65

---

[3]
Here is a geometry-optimized InSn3 structure from the Materials Project. Energies are from PBE.

a = 6.734 Å, b = 6.734 Å, c = 5.606 Å
α = 90.00°, β = 90.00°, γ = 120.00°
Fractional positions:
In: 0.333 0.667 0.250
In: 0.667 0.333 0.750
Sn: 0.167 0.334 0.750
Sn: 0.167 0.833 0.750
Sn: 0.334 0.167 0.250
Sn: 0.666 0.833 0.750
Sn: 0.833 0.167 0.250
Sn: 0.833 0.666 0.250

## Properties
DFT formation energy: 0.0555 eV/atom
density: 7.104 g/cm³
SG: No. 194

---

[4]
Here is a geometry-optimized Tb2In3Sn3 structure from the Materials Project. Energies are from PBE.

a = 4.667 Å, b = 4.702 Å, c = 9.374 Å
α = 90.00°, β = 90.00°, γ = 90.00°
Fractional positions:
Tb: 0.000 0.000 0.245
Tb: 0.000 0.000 0.755
In: 0.000 0.500 0.500
In: 0.500 0.500 0.252
In: 0.500 0.500 0.748
Sn: 0.000 0.500 0.000
Sn: 0.500 0.000 0.000
Sn: 0.500 0.000 0.500

## Properties
total magnetization: 0.01 μB per cell
DFT formation energy: -0.4284 eV/atom
density: 8.222 g/cm³
SG: No. 47